1.
B | PBE-GGA | relaxed

Geometry as POSCAR:
```
B
1.0
-3.522 1.635 6.432
2.071 2.512 3.104
0.201 2.599 -4.939
B
12
Direct
0.205 0.740 0.000
0.998 0.468 0.754
0.245 0.468 0.246
0.795 0.260 0.000
0.002 0.532 0.246
0.755 0.532 0.754
0.088 0.180 0.000
0.482 0.568 0.363
0.118 0.568 0.637
0.912 0.820 0.000
0.518 0.432 0.637
0.882 0.432 0.363
```

Calculated volume   10.102 Å³ per atom
Electronic total energy   -6.197 eV/atom
SG   C2/m, No. 12
Energy above the most stable polymorph in this dataset   482 meV per atom



2.
HfScRu2 | PBE-GGA | relaxed

Geometry as POSCAR:
```
HfScRu2
1.0
0.000 3.226 3.226
3.226 0.000 3.226
3.226 3.226 0.000
Hf Sc Ru
1 1 2
Direct
0.500 0.500 0.500
0.000 0.000 0.000
0.250 0.250 0.250
0.750 0.750 0.750
```

Calculated volume   16.794 Å³ per atom
Electronic total energy   -9.442 eV/atom
SG   Fm-3m, No. 225



3.
Sb2H18C3I9N9 | PBE-GGA | relaxed

Geometry as POSCAR:
```
Sb2H18C3I9N9
1.0
5.713 -6.925 0.000
5.713 6.925 0.000
0.000 0.000 21.702
Sb H C I N
4 36 6 18 18
Direct
0.734 0.266 0.847
0.266 0.734 0.153
0.734 0.266 0.653
0.266 0.734 0.347
0.200 0.646 0.750
0.646 0.200 0.250
0.800 0.354 0.250
0.354 0.800 0.750
0.335 0.457 0.875
0.457 0.335 0.125
0.335 0.457 0.625
0.457 0.335 0.375
0.665 0.543 0.125
0.543 0.665 0.875
0.665 0.543 0.375
0.543 0.665 0.625
0.160 0.483 0.904
0.483 0.160 0.096
0.160 0.483 0.596
0.483 0.160 0.404
0.840 0.517 0.096
0.517 0.840 0.904
0.840 0.517 0.404
0.517 0.840 0.596
0.282 0.871 0.941
0.871 0.282 0.059
0.282 0.871 0.559
0.871 0.282 0.441
0.718 0.129 0.059
0.129 0.718 0.941
0.718 0.129 0.441
0.129 0.718 0.559
0.128 0.083 0.750
0.083 0.128 0.250
0.872 0.917 0.250
0.917 0.872 0.750
0.311 0.046 0.750
0.046 0.311 0.250
0.689 0.954 0.250
0.954 0.689 0.750
0.327 0.673 0.905
0.673 0.327 0.095
0.327 0.673 0.595
0.673 0.327 0.405
0.143 0.857 0.750
0.857 0.143 0.250
0.640 0.990 0.750
0.990 0.640 0.250
0.360 0.010 0.250
0.010 0.360 0.750
0.550 0.450 0.750
0.450 0.550 0.250
0.829 0.543 0.920
0.543 0.829 0.080
0.829 0.543 0.580
0.543 0.829 0.420
0.171 0.457 0.080
0.457 0.171 0.920
0.171 0.457 0.420
0.457 0.171 0.580
0.909 0.091 0.918
0.091 0.909 0.082
0.909 0.091 0.582
0.091 0.909 0.418
0.240 0.760 0.750
0.760 0.240 0.250
0.269 0.528 0.892
0.528 0.269 0.108
0.269 0.528 0.608
0.528 0.269 0.392
0.731 0.472 0.108
0.472 0.731 0.892
0.731 0.472 0.392
0.472 0.731 0.608
0.239 0.761 0.930
0.761 0.239 0.070
0.239 0.761 0.570
0.761 0.239 0.430
0.197 0.006 0.750
0.006 0.197 0.250
0.803 0.994 0.250
0.994 0.803 0.750
```

Calculated volume   20.945 Å³ per atom
Electronic total energy   -4.876 eV/atom
SG   Cmcm, No. 63
Energy above the most stable polymorph in this dataset   3 meV per atom



4.
DyCo5 | PBE-GGA | relaxed

Geometry as POSCAR:
```
DyCo5
1.0
4.920 0.000 0.000
-2.460 4.261 0.000
0.000 0.000 3.948
Dy Co
1 5
Direct
0.000 0.000 0.000
0.000 0.500 0.500
0.333 0.667 0.000
0.667 0.333 0.000
0.500 0.000 0.500
0.500 0.500 0.500
```

Calculated volume   13.794 Å³ per atom
Electronic total energy   -6.803 eV/atom
SG   P6/mmm, No. 191



5.
KMg14B | PBE-GGA | relaxed

Geometry as POSCAR:
```
KMg14B
1.0
6.596 0.162 0.000
-3.157 5.469 0.000
0.000 0.000 10.245
K Mg B
1 14 1
Direct
0.115 0.308 0.125
0.172 0.336 0.625
0.158 0.829 0.625
0.615 0.303 0.125
0.661 0.336 0.625
0.615 0.811 0.125
0.661 0.824 0.625
0.336 0.156 0.375
0.336 0.156 0.875
0.336 0.680 0.375
0.336 0.680 0.875
0.820 0.160 0.393
0.820 0.160 0.857
0.856 0.678 0.348
0.856 0.678 0.902
0.306 0.903 0.125
```

Calculated volume   23.429 Å³ per atom
Electronic total energy   -1.643 eV/atom
SG   Amm2, No. 38
Energy above the most stable polymorph in this dataset   0 meV per atom



6.
Te4MoW3Se2S2 | PBE-GGA | relaxed

Geometry as POSCAR:
```
Te4MoW3Se2S2
1.0
-0.836 3.277 0.299
-1.321 -1.867 -2.510
-29.761 -9.677 22.863
Te Mo W Se S
4 1 3 2 2
Direct
0.333 0.667 0.330
0.333 0.667 0.706
0.333 0.667 0.234
0.333 0.667 0.609
0.667 0.333 0.282
0.333 0.667 0.094
0.333 0.667 0.470
0.667 0.333 0.658
0.667 0.333 0.051
0.667 0.333 0.137
0.667 0.333 0.431
0.667 0.333 0.509
```

Calculated volume   32.251 Å³ per atom
Electronic total energy   -6.836 eV/atom
SG   P3m1, No. 156
Energy above the most stable polymorph in this dataset   0 meV per atom



7.
Sr6Nb7O21 | PBE-GGA | relaxed

Geometry as POSCAR:
```
Sr6Nb7O21
1.0
-1.800 0.670 -6.784
-7.134 -4.053 3.935
1.412 8.508 2.908
Sr Nb O
6 7 21
Direct
0.563 0.280 0.421
0.142 0.572 0.860
0.713 0.855 0.284
0.287 0.144 0.718
0.851 0.422 0.140
0.428 0.716 0.573
0.069 0.284 0.426
0.644 0.576 0.858
0.210 0.859 0.283
0.786 0.142 0.717
0.353 0.425 0.142
0.930 0.718 0.575
0.499 0.000 0.000
0.558 0.780 0.927
0.779 0.147 0.221
0.143 0.073 0.369
0.357 0.429 0.643
0.712 0.358 0.788
0.778 0.634 0.706
0.925 0.708 0.073
0.285 0.644 0.213
0.363 0.929 0.147
0.500 0.001 0.499
0.929 0.221 0.576
0.854 0.928 0.631
0.071 0.293 0.928
0.496 0.500 0.998
0.440 0.221 0.072
0.644 0.573 0.355
0.000 0.501 0.498
0.072 0.785 0.428
0.219 0.854 0.779
0.633 0.072 0.853
0.222 0.365 0.294
```

Calculated volume   13.885 Å³ per atom
Electronic total energy   -8.219 eV/atom
SG   P1, No. 1



8.
Nd4FeS7 | PBE-GGA | relaxed

Geometry as POSCAR:
```
Nd4FeS7
1.0
6.957 0.000 0.000
0.000 9.824 0.000
0.000 4.891 8.524
Nd Fe S
8 2 14
Direct
0.723 0.376 0.785
0.727 0.840 0.376
0.723 0.785 0.840
0.223 0.624 0.215
0.227 0.160 0.624
0.223 0.215 0.160
0.180 0.662 0.672
0.680 0.338 0.328
0.517 0.004 0.999
0.017 0.996 0.001
0.336 0.238 0.868
0.334 0.898 0.232
0.334 0.872 0.897
0.836 0.762 0.132
0.834 0.102 0.768
0.834 0.128 0.103
0.962 0.514 0.932
0.966 0.554 0.518
0.969 0.925 0.558
0.462 0.486 0.068
0.466 0.446 0.482
0.469 0.075 0.442
0.563 0.668 0.665
0.063 0.332 0.335
```

Calculated volume   24.275 Å³ per atom
Electronic total energy   -6.343 eV/atom
SG   P2_1, No. 4



9.
SrAlO2F4 | PBE-GGA | relaxed

Geometry as POSCAR:
```
SrAlO2F4
1.0
2.668 6.500 0.000
-2.668 6.500 0.000
0.000 4.574 13.456
Sr Al O F
4 4 8 16
Direct
0.987 0.352 0.654
0.648 0.013 0.846
0.013 0.648 0.346
0.352 0.987 0.154
0.998 0.218 0.914
0.782 0.002 0.586
0.002 0.782 0.086
0.218 0.998 0.414
0.172 0.834 0.958
0.166 0.828 0.542
0.828 0.166 0.042
0.834 0.172 0.458
0.415 0.797 0.649
0.203 0.585 0.851
0.585 0.203 0.351
0.797 0.415 0.149
0.230 0.166 0.803
0.834 0.770 0.697
0.770 0.834 0.197
0.166 0.230 0.303
0.427 0.226 0.596
0.774 0.573 0.904
0.573 0.774 0.404
0.226 0.427 0.096
0.762 0.186 0.661
0.814 0.238 0.839
0.238 0.814 0.339
0.186 0.762 0.161
0.141 0.234 0.481
0.766 0.859 0.019
0.859 0.766 0.519
0.234 0.141 0.981
```

Calculated volume   14.586 Å³ per atom
Electronic total energy   -5.328 eV/atom
SG   C2/c, No. 15
Energy above the most stable polymorph in this dataset   0 meV per atom



10.
Nd2FeCo17Si8 | PBE-GGA | relaxed

Geometry as POSCAR:
```
Nd2FeCo17Si8
1.0
0.000 5.488 5.748
5.474 0.000 5.748
5.474 5.488 0.000
Nd Fe Co Si
2 1 17 8
Direct
0.250 0.250 0.250
0.750 0.750 0.750
0.000 0.000 0.000
0.448 0.191 0.809
0.191 0.448 0.552
0.949 0.691 0.051
0.691 0.949 0.309
0.552 0.809 0.191
0.809 0.552 0.448
0.051 0.309 0.949
0.309 0.051 0.691
0.701 0.299 0.069
0.299 0.701 0.931
0.200 0.800 0.430
0.800 0.200 0.570
0.430 0.570 0.200
0.570 0.430 0.800
0.069 0.931 0.701
0.931 0.069 0.299
0.500 0.500 0.500
0.708 0.047 0.953
0.047 0.708 0.292
0.209 0.548 0.791
0.548 0.209 0.452
0.292 0.953 0.047
0.953 0.292 0.708
0.791 0.452 0.209
0.452 0.791 0.548
```

Calculated volume   12.333 Å³ per atom
Electronic total energy   -6.984 eV/atom
SG   Fmmm, No. 69



11.
In2Ag | PBE-GGA | relaxed

Geometry as POSCAR:
```
In2Ag
1.0
4.948 -2.440 1.495
-4.543 -3.368 -0.831
1.002 2.447 -5.067
In Ag
4 2
Direct
0.155 0.655 0.811
0.345 0.155 0.500
0.655 0.845 0.500
0.845 0.345 0.189
0.250 0.250 0.000
0.750 0.750 0.000
```

Calculated volume   23.521 Å³ per atom
Electronic total energy   -2.792 eV/atom
SG   I4/mcm, No. 140



12.
Cd3N2 | PBE-GGA | relaxed

Geometry as POSCAR:
```
Cd3N2
1.0
-5.503 5.503 5.503
5.503 -5.503 5.503
5.503 5.503 -5.503
Cd N
24 16
Direct
0.223 0.448 0.480
0.020 0.468 0.743
0.032 0.052 0.275
0.448 0.480 0.223
0.225 0.277 0.757
0.468 0.743 0.020
0.777 0.552 0.520
0.532 0.257 0.980
0.743 0.020 0.468
0.520 0.777 0.552
0.948 0.725 0.968
0.552 0.520 0.777
0.243 0.775 0.723
0.725 0.968 0.948
0.480 0.223 0.448
0.723 0.243 0.775
0.257 0.980 0.532
0.980 0.532 0.257
0.757 0.225 0.277
0.275 0.032 0.052
0.277 0.757 0.225
0.968 0.948 0.725
0.775 0.723 0.243
0.052 0.275 0.032
0.529 0.279 0.250
0.221 0.750 0.971
0.471 0.721 0.750
0.750 0.971 0.221
0.750 0.471 0.721
0.721 0.750 0.471
0.000 0.500 0.500
0.279 0.250 0.529
0.971 0.221 0.750
0.250 0.029 0.779
0.029 0.779 0.250
0.250 0.529 0.279
0.779 0.250 0.029
0.500 0.000 0.500
0.000 0.000 0.000
0.500 0.500 0.000
```

Calculated volume   16.668 Å³ per atom
Electronic total energy   -3.328 eV/atom
SG   Ia-3, No. 206



> What is the formula in the seventh record?

Sr6Nb7O21



Please write out number 12 again, unchanged.
Cd3N2 | PBE-GGA | relaxed

Geometry as POSCAR:
```
Cd3N2
1.0
-5.503 5.503 5.503
5.503 -5.503 5.503
5.503 5.503 -5.503
Cd N
24 16
Direct
0.223 0.448 0.480
0.020 0.468 0.743
0.032 0.052 0.275
0.448 0.480 0.223
0.225 0.277 0.757
0.468 0.743 0.020
0.777 0.552 0.520
0.532 0.257 0.980
0.743 0.020 0.468
0.520 0.777 0.552
0.948 0.725 0.968
0.552 0.520 0.777
0.243 0.775 0.723
0.725 0.968 0.948
0.480 0.223 0.448
0.723 0.243 0.775
0.257 0.980 0.532
0.980 0.532 0.257
0.757 0.225 0.277
0.275 0.032 0.052
0.277 0.757 0.225
0.968 0.948 0.725
0.775 0.723 0.243
0.052 0.275 0.032
0.529 0.279 0.250
0.221 0.750 0.971
0.471 0.721 0.750
0.750 0.971 0.221
0.750 0.471 0.721
0.721 0.750 0.471
0.000 0.500 0.500
0.279 0.250 0.529
0.971 0.221 0.750
0.250 0.029 0.779
0.029 0.779 0.250
0.250 0.529 0.279
0.779 0.250 0.029
0.500 0.000 0.500
0.000 0.000 0.000
0.500 0.500 0.000
```

Calculated volume   16.668 Å³ per atom
Electronic total energy   -3.328 eV/atom
SG   Ia-3, No. 206



> Among the records above, which one has the lowest calculated volume?

B